# FeSiO3, optimized geometry, DFT GGA+U
# * total DFT energy (no corrections): -7.4616 eV/atom
# * energy relative to the elements: -59.429 kcal/mol of atoms
# * calculated volume: 458.0 Å³ per cell
data_FeSiO3
_space_group_name_H-M_alt 'P 1 21/c 1'
_space_group_IT_number 14
_cell_length_a 9.5872
_cell_length_b 9.2267
_cell_length_c 5.3154
_cell_angle_alpha 90.00
_cell_angle_beta 103.08
_cell_angle_gamma 90.00
loop_
_space_group_symop_operation_xyz
'x,y,z'
'-x,-y,-z'
'-x,y+1/2,-z+1/2'
'x,-y+1/2,z+1/2'
loop_
_atom_site_label
_atom_site_type_symbol
_atom_site_fract_x
_atom_site_fract_y
_atom_site_fract_z
Fe1 Fe 0.2483 0.0123 0.4737
Fe2 Fe 0.2477 0.6537 0.4777
Si1 Si 0.0528 0.1660 0.8094
Si2 Si 0.4542 0.1622 0.2432
O1 O 0.1030 0.2038 0.1259
O2 O 0.1229 0.6624 0.7680
O3 O 0.1358 0.0211 0.7518
O4 O 0.3710 0.6616 0.1920
O5 O 0.3755 0.0053 0.2104
O6 O 0.3945 0.2317 0.4898